No. 1
The following is a DFT calculation (PBE) of a geometry-optimized CaMg2 structure.

a = 8.9416 Å, b = 8.9416 Å, c = 5.6184 Å
α = 90.00°, β = 90.00°, γ = 157.65°
Closest atoms and distances in Å follow each position.
Element x y z (fractional)
Ca1 0.1082 0.8918 0.7500  10 Mg 3.39-3.48, 2 Ca 3.47
Ca2 0.8918 0.1082 0.2500  10 Mg 3.39-3.48, 2 Ca 3.47
Mg1 0.2197 0.7803 0.2500  8 Mg 3.32-3.47, 4 Ca 3.42-3.48
Mg2 0.4420 0.5580 0.7500  6 Mg 3.32-3.47, 6 Ca 3.39-3.42
Mg3 0.5580 0.4420 0.2500  6 Mg 3.32-3.47, 6 Ca 3.39-3.42
Mg4 0.7803 0.2197 0.7500  8 Mg 3.32-3.47, 4 Ca 3.42-3.48

* crystal system: orthorhombic
* M_tot: 0.00 μB/f.u.
* density: 1.7 Mg/m³
* energy of formation: -0.03 eV per atom


No. 2
The following is a DFT calculation (PBE) of a geometry-optimized CaMg5 structure.

a = 5.7061 Å, b = 5.7061 Å, c = 5.3989 Å
α = 90.00°, β = 90.00°, γ = 120.00°
Closest atoms and distances in Å follow each position.
Element x y z (fractional)
Ca1 0.0000 0.0000 0.0000  12 Mg 3.29-3.39
Mg1 0.0000 0.6418 0.5000  10 Mg 3.18-3.54, 2 Ca 3.39
Mg2 0.3333 0.6667 0.0000  9 Mg 3.26-3.29, 3 Ca 3.29
Mg3 0.3582 0.3582 0.5000  10 Mg 3.18-3.54, 2 Ca 3.39
Mg4 0.6418 0.0000 0.5000  10 Mg 3.18-3.54, 2 Ca 3.39
Mg5 0.6667 0.3333 0.0000  9 Mg 3.26-3.29, 3 Ca 3.29

* crystal system: hexagonal
* density: 1.8 Mg/m³
* energy of formation: -0.02 eV per atom